No. 1
A relaxed structure of AgCl. Source: the Materials Project database, functional r2SCAN.

a = 3.919 Å, b = 3.922 Å, c = 5.544 Å
α = 90.00°, β = 89.48°, γ = 90.00°
Positions (direct):
Cl 0.739 0.750 0.249
Ag 0.765 0.750 0.749
Ag 0.235 0.250 0.251
Cl 0.261 0.250 0.751

Values from the calculation:
M_tot ... 0.00 μB/cell
Formation energy from the elements ... -0.568 eV per atom
Symmetry ... P2_1/m (11)
Volume ... 21.30 Å³/atom


No. 2
A relaxed structure of AgCl. Source: the Materials Project database, functional r2SCAN.

a = 3.742 Å, b = 3.924 Å, c = 5.863 Å
α = 90.00°, β = 108.61°, γ = 90.00°
Positions (direct):
Cl 0.865 0.250 0.731
Ag 0.603 0.250 0.207
Ag 0.397 0.750 0.793
Cl 0.135 0.750 0.269

Values from the calculation:
M_tot ... 0.00 μB/cell
Formation energy from the elements ... -0.540 eV per atom
Symmetry ... Cmcm (63)
Volume ... 20.40 Å³/atom


No. 3
A relaxed structure of Ag2Cl3. Source: the Materials Project database, functional r2SCAN.

a = 6.619 Å, b = 6.619 Å, c = 7.155 Å
α = 117.56°, β = 62.44°, γ = 120.00°
Positions (direct):
Cl 0.068 0.568 0.750
Ag 0.843 0.157 0.472
Ag 0.657 0.343 0.028
Cl 0.750 0.932 0.750
Ag 0.157 0.843 0.528
Cl 0.432 0.250 0.750
Cl 0.932 0.432 0.250
Cl 0.250 0.068 0.250
Cl 0.568 0.750 0.250
Ag 0.343 0.657 0.972

Values from the calculation:
M_tot ... 2.02 μB/cell
Formation energy from the elements ... -0.499 eV per atom
Symmetry ... R-3c (167)
Volume ... 22.95 Å³/atom


No. 4
A relaxed structure of CsAgCl3. Source: the Materials Project database, functional r2SCAN.

a = 7.263 Å, b = 7.263 Å, c = 7.368 Å
α = 119.52°, β = 119.52°, γ = 90.01°
Positions (direct):
Cs 0.250 0.750 0.500
Ag 0.500 0.500 0.000
Ag 0.000 0.000 0.000
Cl 0.239 0.239 0.000
Cl 0.729 0.729 0.459
Cs 0.750 0.250 0.500
Cl 0.271 0.271 0.541
Cl 0.761 0.761 0.000
Cl 0.239 0.761 0.000
Cl 0.761 0.239 0.000

Values from the calculation:
M_tot ... 0.00 μB/cell
Formation energy from the elements ... -1.261 eV per atom
Symmetry ... I4/mmm (139)
Volume ... 27.87 Å³/atom


No. 5
A relaxed structure of Cs2NdAgCl6. Source: the Materials Project database, functional r2SCAN.

a = 7.702 Å, b = 7.702 Å, c = 7.702 Å
α = 60.00°, β = 60.00°, γ = 60.00°
Positions (direct):
Cs 0.750 0.750 0.750
Cl 0.250 0.750 0.250
Cl 0.750 0.250 0.250
Cs 0.250 0.250 0.250
Cl 0.250 0.750 0.750
Cl 0.750 0.750 0.250
Ag 0.000 0.000 0.000
Cl 0.250 0.250 0.750
Cl 0.750 0.250 0.750
Nd 0.500 0.500 0.500

Values from the calculation:
M_tot ... 0.00 μB/cell
Formation energy from the elements ... -2.063 eV per atom
Symmetry ... Fm-3m (225)
Volume ... 32.31 Å³/atom


No. 6
A relaxed structure of Ag2PdCl4. Source: the Materials Project database, functional r2SCAN.

a = 6.459 Å, b = 6.459 Å, c = 8.101 Å
α = 90.00°, β = 90.00°, γ = 101.59°
Positions (direct):
Cl 0.768 0.232 0.000
Cl 0.805 0.805 0.207
Cl 0.268 0.732 0.500
Ag 0.029 0.529 0.750
Ag 0.971 0.471 0.250
Cl 0.232 0.768 0.000
Cl 0.695 0.695 0.707
Ag 0.529 0.029 0.750
Ag 0.471 0.971 0.250
Pd 0.500 0.500 0.500
Cl 0.732 0.268 0.500
Cl 0.195 0.195 0.793
Cl 0.305 0.305 0.293
Pd 0.000 0.000 0.000

Values from the calculation:
M_tot ... 0.00 μB/cell
Formation energy from the elements ... -0.575 eV per atom
Symmetry ... Cmce (64)
Volume ... 23.65 Å³/atom


No. 7
A relaxed structure of Rb2AgCl3. Source: the Materials Project database, functional r2SCAN.

a = 4.489 Å, b = 9.220 Å, c = 17.880 Å
α = 90.00°, β = 90.00°, γ = 90.00°
Positions (direct):
Ag 0.750 0.122 0.869
Rb 0.250 0.921 0.714
Cl 0.250 0.817 0.274
Ag 0.750 0.622 0.631
Cl 0.750 0.378 0.927
Ag 0.250 0.378 0.369
Cl 0.750 0.878 0.573
Cl 0.750 0.506 0.402
Rb 0.250 0.759 0.457
Cl 0.750 0.183 0.726
Cl 0.750 0.683 0.774
Rb 0.750 0.579 0.214
Rb 0.250 0.259 0.043
Rb 0.750 0.741 0.957
Ag 0.250 0.878 0.131
Rb 0.750 0.241 0.543
Rb 0.250 0.421 0.786
Cl 0.250 0.622 0.073
Rb 0.750 0.079 0.286
Cl 0.250 0.994 0.902
Cl 0.250 0.122 0.427
Cl 0.250 0.494 0.598
Cl 0.250 0.317 0.226
Cl 0.750 0.006 0.098

Values from the calculation:
M_tot ... 0.00 μB/cell
Formation energy from the elements ... -1.642 eV per atom
Symmetry ... Pnma (62)
Volume ... 30.83 Å³/atom


No. 8
A relaxed structure of RbAgCl3. Source: the Materials Project database, functional r2SCAN.

a = 5.088 Å, b = 5.088 Å, c = 5.084 Å
α = 90.06°, β = 90.00°, γ = 90.00°
Positions (direct):
Cl 0.500 0.002 0.488
Cl 0.500 0.501 0.987
Cl 0.000 0.504 0.487
Rb 0.000 0.001 0.992
Ag 0.500 0.502 0.487

Values from the calculation:
M_tot ... 0.25 μB/cell
Formation energy from the elements ... -1.223 eV per atom
Symmetry ... Pm (6)
Volume ... 26.32 Å³/atom


No. 9
A relaxed structure of Ag5Te2Cl. Source: the Materials Project database, functional r2SCAN.

a = 7.720 Å, b = 13.873 Å, c = 13.968 Å
α = 90.00°, β = 90.00°, γ = 90.00°
Positions (direct):
Te 0.288 0.910 0.990
Cl 0.505 0.504 0.746
Te 0.792 0.250 0.369
Te 0.708 0.750 0.869
Ag 0.375 0.400 0.918
Ag 0.125 0.600 0.418
Te 0.288 0.590 0.990
Ag 0.727 0.354 0.204
Cl 0.005 0.996 0.754
Cl 0.505 0.996 0.746
Te 0.788 0.910 0.510
Te 0.208 0.750 0.631
Te 0.252 0.250 0.809
Ag 0.367 0.928 0.577
Ag 0.625 0.900 0.082
Ag 0.633 0.428 0.423
Ag 0.375 0.100 0.918
Ag 0.867 0.572 0.923
Te 0.292 0.250 0.131
Ag 0.011 0.640 0.110
Ag 0.773 0.646 0.704
Ag 0.875 0.400 0.582
Cl 0.995 0.004 0.246
Ag 0.633 0.072 0.423
Ag 0.773 0.854 0.704
Ag 0.867 0.928 0.923
Ag 0.489 0.360 0.610
Cl 0.005 0.504 0.754
Te 0.748 0.750 0.191
Ag 0.273 0.646 0.796
Ag 0.727 0.146 0.204
Ag 0.273 0.854 0.796
Cl 0.495 0.496 0.254
Ag 0.943 0.250 0.070
Ag 0.489 0.140 0.610
Te 0.212 0.410 0.490
Ag 0.057 0.750 0.930
Ag 0.133 0.072 0.077
Te 0.788 0.590 0.510
Ag 0.443 0.250 0.430
Cl 0.495 0.004 0.254
Ag 0.511 0.860 0.390
Te 0.752 0.250 0.691
Ag 0.511 0.640 0.390
Te 0.212 0.090 0.490
Ag 0.861 0.750 0.381
Ag 0.139 0.250 0.619
Te 0.248 0.750 0.309
Ag 0.133 0.428 0.077
Cl 0.995 0.496 0.246
Ag 0.639 0.250 0.881
Ag 0.125 0.900 0.418
Ag 0.361 0.750 0.119
Ag 0.227 0.354 0.296
Ag 0.367 0.572 0.577
Ag 0.875 0.100 0.582
Ag 0.625 0.600 0.082
Ag 0.989 0.140 0.890
Te 0.712 0.410 0.010
Ag 0.011 0.860 0.110
Ag 0.989 0.360 0.890
Ag 0.227 0.146 0.296
Te 0.712 0.090 0.010
Ag 0.557 0.750 0.570

Values from the calculation:
M_tot ... 0.00 μB/cell
Formation energy from the elements ... -0.238 eV per atom
Symmetry ... Pnma (62)
Volume ... 23.38 Å³/atom


No. 10
A relaxed structure of TlAgCl3. Source: the Materials Project database, functional r2SCAN.

a = 5.058 Å, b = 5.057 Å, c = 5.054 Å
α = 89.99°, β = 89.98°, γ = 89.96°
Positions (direct):
Ag 0.500 0.498 0.486
Cl 0.000 0.495 0.484
Cl 0.499 0.998 0.485
Tl 0.999 0.998 0.999
Cl 0.502 0.501 0.986

Values from the calculation:
M_tot ... 0.12 μB/cell
Formation energy from the elements ... -0.768 eV per atom
Symmetry ... P1 (1)
Volume ... 25.86 Å³/atom


No. 11
A relaxed structure of TlAgCl3. Source: the Materials Project database, functional r2SCAN.

a = 7.140 Å, b = 7.140 Å, c = 7.140 Å
α = 60.07°, β = 60.07°, γ = 60.07°
Positions (direct):
Ag 0.006 0.006 0.006
Cl 0.782 0.255 0.729
Cl 0.229 0.755 0.282
Cl 0.729 0.782 0.255
Tl 0.257 0.257 0.257
Ag 0.506 0.506 0.506
Tl 0.757 0.757 0.757
Cl 0.255 0.729 0.782
Cl 0.282 0.229 0.755
Cl 0.755 0.282 0.229

Values from the calculation:
M_tot ... 0.13 μB/cell
Formation energy from the elements ... -0.769 eV per atom
Symmetry ... R3c (161)
Volume ... 25.78 Å³/atom


No. 12
A relaxed structure of CrAgO2. Source: the Materials Project database, functional r2SCAN.

a = 6.423 Å, b = 6.423 Å, c = 6.423 Å
α = 26.94°, β = 26.94°, γ = 26.94°
Positions (direct):
Cr 0.500 0.500 0.500
O 0.887 0.887 0.887
Ag 0.000 0.000 0.000
O 0.113 0.113 0.113

Values from the calculation:
M_tot ... 3.00 μB/cell
Formation energy from the elements ... -1.671 eV per atom
Symmetry ... R-3m (166)
Volume ... 12.00 Å³/atom


> What is the volume in the eleventh record?

25.78 Å³/atom